w) A plane-wave DFT calculation with PBE-GGA was carried out for crystalline Mg3Bi2 at its relaxed geometry.

Results
V = 2613.0 Å³/cell

abc: 13.774 13.774 13.774
angles: 90.00 90.00 90.00
Space group Ia-3 (No. 206)
Inequivalent atoms, fractional coordinates:
Mg1 0.112 0.132 0.627 (multiplicity 48)
Bi1 0.000 0.000 0.000 (multiplicity 8)
Bi2 0.000 0.250 0.264 (multiplicity 24)

=====

x) A plane-wave DFT calculation with PBE-GGA was carried out for crystalline Mg3Bi2 at its relaxed geometry.

Results
V = 143.8 Å³/cell

abc: 4.7221 4.7221 7.4490
angles: 90.00 90.00 120.00
Space group P-3m1 (No. 164)
Inequivalent atoms, fractional coordinates:
Mg1 0.0000 0.0000 0.0000 (multiplicity 1)
Mg2 0.3333 0.6667 0.3709 (multiplicity 2)
Bi1 0.3333 0.6667 0.7793 (multiplicity 2)

=====

Q: What are the energies relative to the best structure? A: w) 1.0; x) 0.0, in kJ/mol of atoms.

=====

w) A plane-wave DFT calculation with PBE-GGA was carried out for crystalline Na4MgBi2O6 at its relaxed geometry.

Results
V = 413.8 Å³/cell

abc: 6.583 10.820 6.329
angles: 90.00 113.39 90.00
Space group Cm (No. 8)
Inequivalent atoms, fractional coordinates:
Na1 0.000 0.000 0.000 (multiplicity 2)
Na2 0.126 0.500 0.542 (multiplicity 2)
Na3 0.493 0.146 0.059 (multiplicity 4)
Mg1 0.195 0.000 0.462 (multiplicity 2)
Bi1 0.490 0.300 0.579 (multiplicity 4)
O1 0.249 0.000 0.791 (multiplicity 2)
O2 0.295 0.320 0.792 (multiplicity 4)
O3 0.312 0.144 0.354 (multiplicity 4)
O4 0.353 0.500 0.327 (multiplicity 2)

=====

x) A plane-wave DFT calculation with PBE-GGA was carried out for crystalline Na4MgBi2O6 at its relaxed geometry.

Results
V = 200.8 Å³/cell

abc: 6.078 6.323 6.614
angles: 109.52 101.45 114.37
Space group P1 (No. 1)
Inequivalent atoms, fractional coordinates:
Na1 0.000 0.000 0.000 (multiplicity 1)
Na2 0.035 0.743 0.546 (multiplicity 1)
Na3 0.173 0.624 0.057 (multiplicity 1)
Na4 0.440 0.482 0.440 (multiplicity 1)
Mg1 0.538 0.552 0.893 (multiplicity 1)
Bi1 0.594 0.186 0.028 (multiplicity 1)
Bi2 0.796 0.136 0.519 (multiplicity 1)
O1 0.175 0.231 0.777 (multiplicity 1)
O2 0.389 0.070 0.227 (multiplicity 1)
O3 0.505 0.806 0.795 (multiplicity 1)
O4 0.668 0.699 0.243 (multiplicity 1)
O5 0.802 0.521 0.757 (multiplicity 1)
O6 0.967 0.316 0.305 (multiplicity 1)

=====

y) A plane-wave DFT calculation with PBE-GGA was carried out for crystalline Na4MgBi2O6 at its relaxed geometry.

Results
V = 219.1 Å³/cell

abc: 6.400 6.549 6.648
angles: 60.64 82.39 64.98
Space group P1 (No. 1)
Inequivalent atoms, fractional coordinates:
Na1 0.000 0.000 0.000 (multiplicity 1)
Na2 0.125 0.791 0.536 (multiplicity 1)
Na3 0.496 0.078 0.842 (multiplicity 1)
Na4 0.628 0.935 0.365 (multiplicity 1)
Mg1 0.626 0.456 0.376 (multiplicity 1)
Bi1 0.113 0.386 0.277 (multiplicity 1)
Bi2 0.554 0.531 0.904 (multiplicity 1)
O1 0.268 0.408 0.951 (multiplicity 1)
O2 0.288 0.613 0.283 (multiplicity 1)
O3 0.363 0.934 0.633 (multiplicity 1)
O4 0.706 0.341 0.701 (multiplicity 1)
O5 0.769 0.713 0.168 (multiplicity 1)
O6 0.819 0.182 0.287 (multiplicity 1)

=====

Q: What are the energies relative to the best structure? A: w) 6.7; x) 0.5; y) 0.0, in kJ/mol of atoms.

=====

w) A plane-wave DFT calculation with PBE-GGA was carried out for crystalline Na4MgBi2O6 at its relaxed geometry.

Results
V = 370.6 Å³/cell

abc: 6.217 10.319 6.160
angles: 90.00 110.33 90.00
Space group Cm (No. 8)
Inequivalent atoms, fractional coordinates:
Na1 0.000 0.000 0.000 (multiplicity 2)
Na2 0.074 0.500 0.649 (multiplicity 2)
Na3 0.159 0.290 0.041 (multiplicity 4)
Mg1 0.468 0.000 0.184 (multiplicity 2)
Bi1 0.078 0.167 0.543 (multiplicity 4)
O1 0.298 0.000 0.841 (multiplicity 2)
O2 0.301 0.500 0.247 (multiplicity 2)
O3 0.343 0.315 0.763 (multiplicity 4)
O4 0.379 0.155 0.331 (multiplicity 4)

=====

x) A plane-wave DFT calculation with PBE-GGA was carried out for crystalline Na4MgBi2O6 at its relaxed geometry.

Results
V = 202.2 Å³/cell

abc: 6.012 6.349 6.377
angles: 60.59 72.45 80.62
Space group P1 (No. 1)
Inequivalent atoms, fractional coordinates:
Na1 0.000 0.000 0.000 (multiplicity 1)
Na2 0.029 0.510 0.541 (multiplicity 1)
Na3 0.071 0.403 0.092 (multiplicity 1)
Na4 0.515 0.299 0.721 (multiplicity 1)
Mg1 0.041 0.941 0.575 (multiplicity 1)
Bi1 0.505 0.959 0.407 (multiplicity 1)
Bi2 0.560 0.621 0.056 (multiplicity 1)
O1 0.219 0.004 0.228 (multiplicity 1)
O2 0.243 0.175 0.557 (multiplicity 1)
O3 0.275 0.665 0.704 (multiplicity 1)
O4 0.713 0.937 0.723 (multiplicity 1)
O5 0.759 0.364 0.951 (multiplicity 1)
O6 0.783 0.625 0.261 (multiplicity 1)

=====

Q: What are the energies relative to the best structure? A: w) 0.0; x) 0.6, in kJ/mol of atoms.